Entry 1:
Here is crystalline Li4FeNi5P6O24 at its relaxed geometry from Materials Project. Energies are from GGA+U.

Properties
calculated formation energy	-2.23	eV/atom
spin magnetization	14.00	μB per formula unit

abc: 8.331 8.396 8.410
angles: 63.25 63.44 63.58
Space group P1 (No. 1)
One atom of each set of equivalent atoms:
1 Li 0.000 0.000 0.000 (multiplicity 1)
2 Li 0.103 0.882 0.501 (multiplicity 1)
3 Li 0.210 0.381 0.410 (multiplicity 1)
4 Li 0.620 0.591 0.790 (multiplicity 1)
5 Fe 0.206 0.586 0.997 (multiplicity 1)
6 Ni 0.001 0.383 0.794 (multiplicity 1)
7 Ni 0.363 0.739 0.142 (multiplicity 1)
8 Ni 0.498 0.881 0.290 (multiplicity 1)
9 Ni 0.713 0.093 0.502 (multiplicity 1)
10 Ni 0.849 0.239 0.644 (multiplicity 1)
11 P 0.105 0.181 0.197 (multiplicity 1)
12 P 0.303 0.985 0.691 (multiplicity 1)
13 P 0.411 0.483 0.591 (multiplicity 1)
14 P 0.605 0.284 0.098 (multiplicity 1)
15 P 0.798 0.788 0.897 (multiplicity 1)
16 P 0.908 0.691 0.395 (multiplicity 1)
17 O 0.035 0.211 0.043 (multiplicity 1)
18 O 0.104 0.139 0.717 (multiplicity 1)
19 O 0.109 0.662 0.240 (multiplicity 1)
20 O 0.176 0.341 0.156 (multiplicity 1)
21 O 0.254 0.415 0.621 (multiplicity 1)
22 O 0.254 0.983 0.220 (multiplicity 1)
23 O 0.285 0.831 0.893 (multiplicity 1)
24 O 0.319 0.919 0.541 (multiplicity 1)
25 O 0.368 0.552 0.753 (multiplicity 1)
26 O 0.409 0.648 0.403 (multiplicity 1)
27 O 0.452 0.485 0.075 (multiplicity 1)
28 O 0.467 0.046 0.646 (multiplicity 1)
29 O 0.535 0.128 0.134 (multiplicity 1)
30 O 0.604 0.809 0.049 (multiplicity 1)
31 O 0.606 0.335 0.577 (multiplicity 1)
32 O 0.672 0.249 0.254 (multiplicity 1)
33 O 0.745 0.737 0.333 (multiplicity 1)
34 O 0.756 0.304 0.898 (multiplicity 1)
35 O 0.806 0.977 0.735 (multiplicity 1)
36 O 0.828 0.632 0.829 (multiplicity 1)
37 O 0.894 0.841 0.459 (multiplicity 1)
38 O 0.924 0.490 0.548 (multiplicity 1)
39 O 0.958 0.165 0.397 (multiplicity 1)
40 O 0.961 0.744 0.968 (multiplicity 1)

***

Entry 2:
Here is crystalline CrCuO4 at its relaxed geometry from Materials Project. Energies are from GGA+U.

Properties
calculated formation energy	-1.33	eV/atom
spin magnetization	1.00	μB per formula unit

abc: 6.463 8.545 11.743
angles: 90.00 90.12 90.00
Space group P2_1/c (No. 14)
One atom of each set of equivalent atoms:
1 Cr 0.096 0.097 0.138 (multiplicity 4)
2 Cr 0.395 0.543 0.151 (multiplicity 4)
3 Cu 0.122 0.550 0.875 (multiplicity 4)
4 Cu 0.277 0.171 0.876 (multiplicity 4)
5 O 0.003 0.084 0.869 (multiplicity 4)
6 O 0.084 0.727 0.394 (multiplicity 4)
7 O 0.164 0.004 0.590 (multiplicity 4)
8 O 0.175 0.133 0.278 (multiplicity 4)
9 O 0.287 0.115 0.045 (multiplicity 4)
10 O 0.373 0.522 0.290 (multiplicity 4)
11 O 0.416 0.579 0.891 (multiplicity 4)
12 O 0.460 0.729 0.122 (multiplicity 4)

***

Entry 3:
Here is crystalline V2O2F3 at its relaxed geometry from Materials Project. Energies are from GGA+U.

Properties
calculated formation energy	-2.81	eV/atom
spin magnetization	0.00	μB per formula unit

abc: 3.729 10.072 9.921
angles: 90.00 90.00 90.00
Space group Cmcm (No. 63)
One atom of each set of equivalent atoms:
1 V 0.000 0.144 0.059 (multiplicity 8)
2 O 0.000 0.328 0.536 (multiplicity 8)
3 F 0.000 0.039 0.618 (multiplicity 8)
4 F 0.000 0.207 0.250 (multiplicity 4)

***

Entry 4:
Here is crystalline NaV10O15 at its relaxed geometry from Materials Project. Energies are from GGA+U.

Properties
calculated formation energy	-2.42	eV/atom
spin magnetization	21.00	μB per formula unit

abc: 11.824 10.367 9.726
angles: 90.00 90.00 90.00
Space group Cmce (No. 64)
One atom of each set of equivalent atoms:
1 Na 0.000 0.000 0.000 (multiplicity 4)
2 V 0.000 0.184 0.368 (multiplicity 8)
3 V 0.126 0.085 0.645 (multiplicity 16)
4 V 0.240 0.161 0.115 (multiplicity 16)
5 O 0.000 0.000 0.500 (multiplicity 4)
6 O 0.000 0.155 0.756 (multiplicity 8)
7 O 0.128 0.090 0.264 (multiplicity 16)
8 O 0.128 0.234 0.505 (multiplicity 16)
9 O 0.240 0.000 0.500 (multiplicity 8)
10 O 0.250 0.181 0.750 (multiplicity 8)

***

Entry 5:
Here is crystalline LiCoOF2 at its relaxed geometry from Materials Project. Energies are from GGA+U.

Properties
calculated formation energy	-2.14	eV/atom
spin magnetization	3.00	μB per formula unit

abc: 5.083 5.148 9.814
angles: 89.68 75.38 60.59
Space group P-1 (No. 2)
One atom of each set of equivalent atoms:
1 Li 0.132 0.196 0.040 (multiplicity 2)
2 Li 0.151 0.675 0.541 (multiplicity 2)
3 Co 0.336 0.571 0.227 (multiplicity 2)
4 Co 0.340 0.114 0.727 (multiplicity 2)
5 O 0.070 0.585 0.135 (multiplicity 2)
6 O 0.457 0.358 0.640 (multiplicity 2)
7 F 0.074 0.061 0.625 (multiplicity 2)
8 F 0.265 0.813 0.864 (multiplicity 2)
9 F 0.267 0.300 0.371 (multiplicity 2)
10 F 0.444 0.872 0.123 (multiplicity 2)

***

Entry 6:
Here is crystalline LiNi7O7F at its relaxed geometry from Materials Project. Energies are from GGA+U.

Properties
calculated formation energy	-1.38	eV/atom
spin magnetization	14.01	μB per formula unit

abc: 5.193 2.981 9.897
angles: 90.00 99.50 90.00
Space group Pm (No. 6)
One atom of each set of equivalent atoms:
1 Li 0.000 0.000 0.000 (multiplicity 1)
2 Ni 0.001 0.500 0.524 (multiplicity 1)
3 Ni 0.244 0.000 0.772 (multiplicity 1)
4 Ni 0.261 0.500 0.270 (multiplicity 1)
5 Ni 0.476 0.500 0.012 (multiplicity 1)
6 Ni 0.498 0.000 0.525 (multiplicity 1)
7 Ni 0.746 0.000 0.276 (multiplicity 1)
8 Ni 0.748 0.500 0.775 (multiplicity 1)
9 O 0.118 0.000 0.387 (multiplicity 1)
10 O 0.121 0.500 0.890 (multiplicity 1)
11 O 0.372 0.500 0.641 (multiplicity 1)
12 O 0.393 0.000 0.150 (multiplicity 1)
13 O 0.614 0.000 0.896 (multiplicity 1)
14 O 0.627 0.500 0.394 (multiplicity 1)
15 O 0.869 0.000 0.642 (multiplicity 1)
16 F 0.880 0.500 0.145 (multiplicity 1)

***

Entry 7:
Here is crystalline Li3V3P8O29 at its relaxed geometry from Materials Project. Energies are from GGA+U.

Properties
calculated formation energy	-2.52	eV/atom
spin magnetization	0.00	μB per formula unit

abc: 9.751 9.752 14.514
angles: 89.75 89.49 60.11
Space group P1 (No. 1)
One atom of each set of equivalent atoms:
1 Li 0.000 0.000 0.000 (multiplicity 1)
2 Li 0.011 0.847 0.518 (multiplicity 1)
3 Li 0.102 0.065 0.407 (multiplicity 1)
4 Li 0.339 0.807 0.936 (multiplicity 1)
5 Li 0.404 0.456 0.002 (multiplicity 1)
6 Li 0.609 0.689 0.397 (multiplicity 1)
7 V 0.319 0.329 0.201 (multiplicity 1)
8 V 0.321 0.204 0.698 (multiplicity 1)
9 V 0.752 0.337 0.703 (multiplicity 1)
10 V 0.752 0.772 0.195 (multiplicity 1)
11 V 0.881 0.204 0.198 (multiplicity 1)
12 V 0.886 0.760 0.707 (multiplicity 1)
13 P 0.009 0.992 0.792 (multiplicity 1)
14 P 0.095 0.083 0.615 (multiplicity 1)
15 P 0.100 0.685 0.119 (multiplicity 1)
16 P 0.236 0.074 0.106 (multiplicity 1)
17 P 0.237 0.546 0.613 (multiplicity 1)
18 P 0.402 0.992 0.287 (multiplicity 1)
19 P 0.404 0.457 0.792 (multiplicity 1)
20 P 0.536 0.854 0.785 (multiplicity 1)
21 P 0.544 0.453 0.291 (multiplicity 1)
22 P 0.624 0.545 0.111 (multiplicity 1)
23 P 0.640 0.677 0.609 (multiplicity 1)
24 P 0.655 0.102 0.083 (multiplicity 1)
25 P 0.661 0.096 0.586 (multiplicity 1)
26 P 0.982 0.436 0.313 (multiplicity 1)
27 P 0.989 0.428 0.817 (multiplicity 1)
28 P 0.995 0.860 0.297 (multiplicity 1)
29 O 0.053 0.795 0.389 (multiplicity 1)
30 O 0.059 0.112 0.114 (multiplicity 1)
31 O 0.061 0.685 0.619 (multiplicity 1)
32 O 0.086 0.002 0.530 (multiplicity 1)
33 O 0.098 0.971 0.879 (multiplicity 1)
34 O 0.104 0.784 0.042 (multiplicity 1)
35 O 0.119 0.749 0.218 (multiplicity 1)
36 O 0.119 0.972 0.704 (multiplicity 1)
37 O 0.133 0.430 0.266 (multiplicity 1)
38 O 0.134 0.284 0.769 (multiplicity 1)
39 O 0.234 0.388 0.629 (multiplicity 1)
40 O 0.238 0.511 0.114 (multiplicity 1)
41 O 0.239 0.109 0.616 (multiplicity 1)
42 O 0.241 0.230 0.121 (multiplicity 1)
43 O 0.311 0.570 0.708 (multiplicity 1)
44 O 0.312 0.000 0.371 (multiplicity 1)
45 O 0.312 0.980 0.023 (multiplicity 1)
46 O 0.319 0.552 0.529 (multiplicity 1)
47 O 0.319 0.970 0.197 (multiplicity 1)
48 O 0.335 0.536 0.882 (multiplicity 1)
49 O 0.403 0.300 0.777 (multiplicity 1)
50 O 0.405 0.029 0.779 (multiplicity 1)
51 O 0.405 0.420 0.280 (multiplicity 1)
52 O 0.412 0.146 0.269 (multiplicity 1)
53 O 0.506 0.254 0.121 (multiplicity 1)
54 O 0.507 0.107 0.628 (multiplicity 1)
55 O 0.519 0.770 0.866 (multiplicity 1)
56 O 0.519 0.778 0.690 (multiplicity 1)
57 O 0.523 0.565 0.203 (multiplicity 1)
58 O 0.529 0.558 0.029 (multiplicity 1)
59 O 0.550 0.532 0.375 (multiplicity 1)
60 O 0.573 0.848 0.285 (multiplicity 1)
61 O 0.576 0.750 0.518 (multiplicity 1)
62 O 0.577 0.423 0.781 (multiplicity 1)
63 O 0.647 0.956 0.126 (multiplicity 1)
64 O 0.664 0.508 0.621 (multiplicity 1)
65 O 0.666 0.679 0.119 (multiplicity 1)
66 O 0.668 0.099 0.483 (multiplicity 1)
67 O 0.669 0.238 0.633 (multiplicity 1)
68 O 0.671 0.098 0.981 (multiplicity 1)
69 O 0.700 0.293 0.270 (multiplicity 1)
70 O 0.700 0.847 0.777 (multiplicity 1)
71 O 0.781 0.384 0.122 (multiplicity 1)
72 O 0.799 0.668 0.632 (multiplicity 1)
73 O 0.805 0.943 0.626 (multiplicity 1)
74 O 0.808 0.092 0.128 (multiplicity 1)
75 O 0.836 0.588 0.275 (multiplicity 1)
76 O 0.837 0.868 0.270 (multiplicity 1)
77 O 0.838 0.436 0.774 (multiplicity 1)
78 O 0.856 0.152 0.782 (multiplicity 1)
79 O 0.939 0.684 0.127 (multiplicity 1)
80 O 0.942 0.242 0.632 (multiplicity 1)
81 O 0.971 0.855 0.782 (multiplicity 1)
82 O 0.980 0.026 0.283 (multiplicity 1)
83 O 0.980 0.289 0.267 (multiplicity 1)
84 O 0.990 0.421 0.415 (multiplicity 1)
85 O 0.990 0.580 0.776 (multiplicity 1)
86 O 0.992 0.426 0.919 (multiplicity 1)

***

Entry 8:
Here is crystalline Li4Mn3Co3Ni2O16 at its relaxed geometry from Materials Project. Energies are from GGA+U.

Properties
calculated formation energy	-1.58	eV/atom
spin magnetization	22.00	μB per formula unit

abc: 9.927 5.752 9.556
angles: 90.00 90.07 90.00
Space group Cm (No. 8)
One atom of each set of equivalent atoms:
1 Li 0.000 0.000 0.000 (multiplicity 2)
2 Li 0.001 0.000 0.497 (multiplicity 2)
3 Li 0.160 0.500 0.896 (multiplicity 2)
4 Li 0.326 0.000 0.392 (multiplicity 2)
5 Mn 0.325 0.500 0.217 (multiplicity 2)
6 Mn 0.410 0.247 0.716 (multiplicity 4)
7 Co 0.078 0.253 0.214 (multiplicity 4)
8 Co 0.163 0.000 0.715 (multiplicity 2)
9 Ni 0.162 0.500 0.490 (multiplicity 2)
10 Ni 0.329 0.000 0.992 (multiplicity 2)
11 O 0.012 0.500 0.325 (multiplicity 2)
12 O 0.078 0.236 0.610 (multiplicity 4)
13 O 0.155 0.000 0.114 (multiplicity 2)
14 O 0.161 0.500 0.110 (multiplicity 2)
15 O 0.233 0.274 0.331 (multiplicity 4)
16 O 0.251 0.222 0.831 (multiplicity 4)
17 O 0.329 0.000 0.609 (multiplicity 2)
18 O 0.338 0.500 0.605 (multiplicity 2)
19 O 0.418 0.261 0.108 (multiplicity 4)
20 O 0.478 0.000 0.833 (multiplicity 2)
21 O 0.496 0.500 0.312 (multiplicity 2)
22 O 0.496 0.500 0.814 (multiplicity 2)

***

Entry 9:
Here is crystalline Li5Fe8B8O24 at its relaxed geometry from Materials Project. Energies are from GGA+U.

Properties
calculated formation energy	-2.28	eV/atom
spin magnetization	35.00	μB per formula unit

abc: 5.251 9.129 10.142
angles: 88.10 89.25 89.15
Space group P1 (No. 1)
One atom of each set of equivalent atoms:
1 Li 0.000 0.000 0.000 (multiplicity 1)
2 Li 0.015 0.994 0.483 (multiplicity 1)
3 Li 0.337 0.341 0.232 (multiplicity 1)
4 Li 0.513 0.499 0.970 (multiplicity 1)
5 Li 0.856 0.836 0.733 (multiplicity 1)
6 Fe 0.025 0.332 0.954 (multiplicity 1)
7 Fe 0.346 0.667 0.704 (multiplicity 1)
8 Fe 0.353 0.006 0.209 (multiplicity 1)
9 Fe 0.512 0.168 0.460 (multiplicity 1)
10 Fe 0.513 0.828 0.962 (multiplicity 1)
11 Fe 0.840 0.511 0.213 (multiplicity 1)
12 Fe 0.852 0.174 0.714 (multiplicity 1)
13 Fe 0.993 0.664 0.457 (multiplicity 1)
14 B 0.004 0.328 0.447 (multiplicity 1)
15 B 0.012 0.668 0.953 (multiplicity 1)
16 B 0.340 0.664 0.203 (multiplicity 1)
17 B 0.347 0.993 0.697 (multiplicity 1)
18 B 0.509 0.842 0.466 (multiplicity 1)
19 B 0.517 0.168 0.961 (multiplicity 1)
20 B 0.849 0.178 0.210 (multiplicity 1)
21 B 0.849 0.506 0.715 (multiplicity 1)
22 O 0.087 0.996 0.690 (multiplicity 1)
23 O 0.088 0.657 0.248 (multiplicity 1)
24 O 0.264 0.319 0.431 (multiplicity 1)
25 O 0.267 0.652 0.912 (multiplicity 1)
26 O 0.363 0.724 0.510 (multiplicity 1)
27 O 0.375 0.971 0.423 (multiplicity 1)
28 O 0.381 0.040 0.992 (multiplicity 1)
29 O 0.401 0.303 0.971 (multiplicity 1)
30 O 0.447 0.794 0.166 (multiplicity 1)
31 O 0.477 0.532 0.192 (multiplicity 1)
32 O 0.477 0.865 0.743 (multiplicity 1)
33 O 0.493 0.111 0.654 (multiplicity 1)
34 O 0.589 0.518 0.727 (multiplicity 1)
35 O 0.594 0.182 0.256 (multiplicity 1)
36 O 0.768 0.842 0.468 (multiplicity 1)
37 O 0.776 0.157 0.926 (multiplicity 1)
38 O 0.870 0.456 0.411 (multiplicity 1)
39 O 0.873 0.204 0.492 (multiplicity 1)
40 O 0.885 0.546 0.007 (multiplicity 1)
41 O 0.892 0.803 0.936 (multiplicity 1)
42 O 0.966 0.313 0.175 (multiplicity 1)
43 O 0.976 0.379 0.747 (multiplicity 1)
44 O 0.979 0.051 0.197 (multiplicity 1)
45 O 0.984 0.633 0.673 (multiplicity 1)

***

Entry 10:
Here is crystalline La2MgV2O8 at its relaxed geometry from Materials Project. Energies are from GGA+U.

Properties
calculated formation energy	-3.10	eV/atom
spin magnetization	0.00	μB per formula unit

abc: 6.694 10.783 6.410
angles: 90.00 120.77 90.00
Space group C2 (No. 5)
One atom of each set of equivalent atoms:
1 La 0.000 0.000 0.000 (multiplicity 2)
2 La 0.000 0.225 0.500 (multiplicity 2)
3 Mg 0.000 0.704 0.000 (multiplicity 2)
4 V 0.000 0.449 0.000 (multiplicity 2)
5 V 0.000 0.723 0.500 (multiplicity 2)
6 O 0.066 0.803 0.288 (multiplicity 4)
7 O 0.106 0.376 0.828 (multiplicity 4)
8 O 0.227 0.142 0.324 (multiplicity 4)
9 O 0.239 0.571 0.153 (multiplicity 4)